Cr2CdO4: optimized geometry, PBE+U.

Properties
MP2020-corrected energy: -7.864 eV per atom
symmetry: Fd-3m, No. 227
total DFT energy (no corrections): -6.90 eV per atom
formation energy from the elements: -2.147 eV per atom

Cell: 6.203 6.203 6.203 Å, 60.00 60.00 60.00°
Atoms (fractional coordinates):
Cr 0.000 0.000 0.000
Cr 0.000 0.000 0.500
Cr 0.000 0.500 0.000
Cr 0.500 0.000 0.000
Cd 0.375 0.375 0.375
Cd 0.625 0.625 0.625
O 0.195 0.768 0.768
O 0.232 0.232 0.232
O 0.232 0.232 0.805
O 0.232 0.805 0.232
O 0.768 0.195 0.768
O 0.768 0.768 0.195
O 0.768 0.768 0.768
O 0.805 0.232 0.232